# 1
# Hf2Sb2Pb4O13, optimized geometry, DFT PBE
# V   311.4 Å³/cell
# Symmetry   Imm2 (44)
# Calculated total energy   -149.2 eV for the cell shown
data_Hf2Sb2Pb4O13
_chemical_formula_sum 'Hf2 Sb2 Pb4 O13'
_cell_length_a 7.607
_cell_length_b 7.607
_cell_length_c 7.607
_cell_angle_alpha 120.11
_cell_angle_beta 119.85
_cell_angle_gamma 90.03
_symmetry_space_group_name_H-M 'P 1'
_symmetry_Int_Tables_number 1
loop_
_symmetry_equiv_pos_as_xyz
'x,y,z'
loop_
_atom_site_label
_atom_site_type_symbol
_atom_site_fract_x
_atom_site_fract_y
_atom_site_fract_z
Hf1 Hf 0.249 0.000 0.249
Hf2 Hf 0.751 0.000 0.751
Sb1 Sb 0.249 0.000 0.751
Sb2 Sb 0.249 0.499 0.249
Pb1 Pb 0.251 0.500 0.751
Pb2 Pb 0.749 0.000 0.251
Pb3 Pb 0.749 0.498 0.749
Pb4 Pb 0.749 0.500 0.249
O1 O 0.180 0.680 0.500
O2 O 0.182 0.075 0.512
O3 O 0.182 0.670 0.107
O4 O 0.314 0.326 0.389
O5 O 0.314 0.926 0.988
O6 O 0.318 0.318 0.000
O7 O 0.563 0.075 0.893
O8 O 0.563 0.670 0.488
O9 O 0.577 0.077 0.500
O10 O 0.877 0.377 0.500
O11 O 0.925 0.925 0.000
O12 O 0.937 0.326 0.012
O13 O 0.937 0.926 0.611

# 2
# HfTi4Pb5O15, optimized geometry, DFT PBE
# V   339.1 Å³/cell
# Symmetry   Pmm2 (25)
# Calculated total energy   -193.3 eV for the cell shown
data_HfTi4Pb5O15
_chemical_formula_sum 'Hf1 Ti4 Pb5 O15'
_cell_length_a 3.971
_cell_length_b 19.705
_cell_length_c 4.333
_cell_angle_alpha 90.00
_cell_angle_beta 90.00
_cell_angle_gamma 90.00
_symmetry_space_group_name_H-M 'P 1'
_symmetry_Int_Tables_number 1
loop_
_symmetry_equiv_pos_as_xyz
'x,y,z'
loop_
_atom_site_label
_atom_site_type_symbol
_atom_site_fract_x
_atom_site_fract_y
_atom_site_fract_z
Hf1 Hf 0.000 0.000 0.000
Ti1 Ti 0.000 0.202 0.988
Ti2 Ti 0.000 0.400 0.988
Ti3 Ti 0.000 0.600 0.988
Ti4 Ti 0.000 0.798 0.988
Pb1 Pb 0.500 0.103 0.450
Pb2 Pb 0.500 0.301 0.441
Pb3 Pb 0.500 0.500 0.439
Pb4 Pb 0.500 0.699 0.441
Pb5 Pb 0.500 0.897 0.450
O1 O 0.000 0.000 0.543
O2 O 0.000 0.105 0.078
O3 O 0.000 0.201 0.580
O4 O 0.000 0.301 0.079
O5 O 0.000 0.400 0.582
O6 O 0.000 0.500 0.078
O7 O 0.000 0.600 0.582
O8 O 0.000 0.699 0.079
O9 O 0.000 0.799 0.580
O10 O 0.000 0.895 0.078
O11 O 0.500 0.000 0.085
O12 O 0.500 0.201 0.077
O13 O 0.500 0.400 0.077
O14 O 0.500 0.600 0.077
O15 O 0.500 0.799 0.077

# 3
# HfTi4Pb5O15, optimized geometry, DFT PBE
# V   347.5 Å³/cell
# Symmetry   Cm (8)
# Calculated total energy   -193.3 eV for the cell shown
data_HfTi4Pb5O15
_chemical_formula_sum 'Hf1 Ti4 Pb5 O15'
_cell_length_a 5.980
_cell_length_b 5.980
_cell_length_c 11.983
_cell_angle_alpha 98.51
_cell_angle_beta 98.51
_cell_angle_gamma 55.34
_symmetry_space_group_name_H-M 'P 1'
_symmetry_Int_Tables_number 1
loop_
_symmetry_equiv_pos_as_xyz
'x,y,z'
loop_
_atom_site_label
_atom_site_type_symbol
_atom_site_fract_x
_atom_site_fract_y
_atom_site_fract_z
Hf1 Hf 0.000 0.000 0.000
Ti1 Ti 0.204 0.204 0.601
Ti2 Ti 0.394 0.394 0.201
Ti3 Ti 0.609 0.609 0.801
Ti4 Ti 0.802 0.802 0.405
Pb1 Pb 0.122 0.122 0.312
Pb2 Pb 0.321 0.321 0.912
Pb3 Pb 0.524 0.524 0.510
Pb4 Pb 0.717 0.717 0.121
Pb5 Pb 0.926 0.926 0.704
O1 O 0.058 0.562 0.286
O2 O 0.164 0.653 0.085
O3 O 0.169 0.169 0.090
O4 O 0.275 0.757 0.877
O5 O 0.360 0.360 0.675
O6 O 0.365 0.866 0.682
O7 O 0.463 0.960 0.482
O8 O 0.552 0.552 0.279
O9 O 0.562 0.058 0.286
O10 O 0.653 0.164 0.085
O11 O 0.757 0.275 0.877
O12 O 0.767 0.767 0.880
O13 O 0.866 0.365 0.682
O14 O 0.958 0.958 0.484
O15 O 0.960 0.463 0.482

# 4
# Hf3Ti2Pb5O15, optimized geometry, DFT PBE
# V   347.5 Å³/cell
# Symmetry   Cm (8)
# Calculated total energy   -199.9 eV for the cell shown
data_Hf3Ti2Pb5O15
_chemical_formula_sum 'Hf3 Ti2 Pb5 O15'
_cell_length_a 9.192
_cell_length_b 9.192
_cell_length_c 7.105
_cell_angle_alpha 103.91
_cell_angle_beta 103.91
_cell_angle_gamma 36.76
_symmetry_space_group_name_H-M 'P 1'
_symmetry_Int_Tables_number 1
loop_
_symmetry_equiv_pos_as_xyz
'x,y,z'
loop_
_atom_site_label
_atom_site_type_symbol
_atom_site_fract_x
_atom_site_fract_y
_atom_site_fract_z
Hf1 Hf 0.000 0.000 0.000
Hf2 Hf 0.398 0.398 0.596
Hf3 Hf 0.602 0.602 0.397
Ti1 Ti 0.197 0.197 0.785
Ti2 Ti 0.796 0.796 0.188
Pb1 Pb 0.190 0.190 0.261
Pb2 Pb 0.378 0.378 0.077
Pb3 Pb 0.585 0.585 0.873
Pb4 Pb 0.787 0.787 0.677
Pb5 Pb 0.977 0.977 0.469
O1 O 0.012 0.509 0.018
O2 O 0.096 0.620 0.404
O3 O 0.115 0.115 0.917
O4 O 0.218 0.704 0.805
O5 O 0.305 0.822 0.208
O6 O 0.306 0.306 0.728
O7 O 0.416 0.911 0.621
O8 O 0.509 0.012 0.018
O9 O 0.509 0.509 0.519
O10 O 0.620 0.096 0.404
O11 O 0.704 0.218 0.805
O12 O 0.713 0.713 0.321
O13 O 0.822 0.305 0.208
O14 O 0.906 0.906 0.117
O15 O 0.911 0.416 0.621

Values for energy of formation, eV/atom, ordered as above
-2.419, -2.770, -2.772, -2.871